## K2NiP2O7 (PBE with a Hubbard U)

Data for K2NiP2O7 after structural relaxation.

Calculated values
Calculated density, g/cm³: 2.9
Volume, A^3/atom: 14.73
Crystal system: monoclinic
Energy relative to the elements, eV/atom: -2.4076

a = 8.441 Å, b = 17.866 Å, c = 9.379 Å
α = 90.00°, β = 91.41°, γ = 90.00°
Space group P2_1 (No. 4)
Symmetry-distinct sites (fractional):
K  0.055  0.000  0.252 (multiplicity 2)
K  0.183  0.385  0.405 (multiplicity 2)
K  0.194  0.215  0.623 (multiplicity 2)
K  0.227  0.646  0.505 (multiplicity 2)
K  0.252  0.289  0.997 (multiplicity 2)
K  0.292  0.907  0.500 (multiplicity 2)
K  0.302  0.152  0.297 (multiplicity 2)
K  0.440  0.542  0.250 (multiplicity 2)
Ni  0.098  0.650  0.076 (multiplicity 2)
Ni  0.104  0.904  0.921 (multiplicity 2)
Ni  0.384  0.647  0.919 (multiplicity 2)
Ni  0.401  0.902  0.087 (multiplicity 2)
P  0.078  0.042  0.688 (multiplicity 2)
P  0.086  0.747  0.764 (multiplicity 2)
P  0.098  0.811  0.240 (multiplicity 2)
P  0.248  0.074  0.959 (multiplicity 2)
P  0.254  0.477  0.954 (multiplicity 2)
P  0.406  0.809  0.777 (multiplicity 2)
P  0.407  0.738  0.239 (multiplicity 2)
P  0.412  0.509  0.685 (multiplicity 2)
O  0.002  0.313  0.169 (multiplicity 2)
O  0.004  0.747  0.169 (multiplicity 2)
O  0.008  0.849  0.358 (multiplicity 2)
O  0.015  0.212  0.356 (multiplicity 2)
O  0.066  0.589  0.267 (multiplicity 2)
O  0.068  0.959  0.724 (multiplicity 2)
O  0.102  0.435  0.983 (multiplicity 2)
O  0.111  0.119  0.021 (multiplicity 2)
O  0.126  0.056  0.534 (multiplicity 2)
O  0.155  0.690  0.873 (multiplicity 2)
O  0.170  0.866  0.134 (multiplicity 2)
O  0.230  0.076  0.785 (multiplicity 2)
O  0.242  0.991  0.004 (multiplicity 2)
O  0.246  0.779  0.685 (multiplicity 2)
O  0.248  0.560  0.998 (multiplicity 2)
O  0.254  0.774  0.324 (multiplicity 2)
O  0.265  0.474  0.779 (multiplicity 2)
O  0.327  0.688  0.123 (multiplicity 2)
O  0.331  0.858  0.891 (multiplicity 2)
O  0.362  0.497  0.530 (multiplicity 2)
O  0.401  0.437  0.014 (multiplicity 2)
O  0.406  0.111  0.991 (multiplicity 2)
O  0.417  0.593  0.724 (multiplicity 2)
O  0.436  0.967  0.269 (multiplicity 2)
O  0.492  0.740  0.839 (multiplicity 2)
O  0.493  0.350  0.329 (multiplicity 2)
O  0.494  0.692  0.353 (multiplicity 2)
O  0.499  0.304  0.819 (multiplicity 2)